The following is a DFT calculation (PBE) of a geometry-optimized Li3Bi3P8O29 structure.

Output
Uncorrected energy (eV/atom): -6.569
Mass density (g/cm3): 3.55
M_tot (μB/cell): 0.00
Formation energy (eV per atom): -2.283

Lattice parameters (Å, degrees): 10.0976 10.0976 14.3950 89.81 89.81 60.11
With the nearest neighbours (Å) after each atom.
Fractional coordinates of all 86 atoms:
Li: 0.0365 0.9439 0.5008  2 O 1.91-1.97
Li: 0.9439 0.0365 0.0008  2 O 1.91-1.97
Li: 0.0876 0.6815 0.9483  3 O 1.90-2.05
Li: 0.6815 0.0876 0.4483  3 O 1.90-2.05
Li: 0.0905 0.2274 0.4461  3 O 1.91-2.02
Li: 0.2274 0.0905 0.9461  3 O 1.91-2.02
Bi: 0.4372 0.5643 0.2518  6 O 2.16-2.20
Bi: 0.5643 0.4372 0.7518  6 O 2.16-2.20
Bi: 0.9988 0.5669 0.7454  6 O 2.17-2.23
Bi: 0.9960 0.4382 0.2501  6 O 2.17-2.25
Bi: 0.5669 0.9988 0.2454  6 O 2.17-2.23
Bi: 0.4382 0.9960 0.7501  6 O 2.17-2.25
P: 0.2230 0.7019 0.6532  4 O 1.49-1.61
P: 0.0833 0.6951 0.1555  4 O 1.50-1.60
P: 0.7019 0.2230 0.1532  4 O 1.49-1.61
P: 0.3312 0.3328 0.8799  4 O 1.50-1.59
P: 0.3328 0.3312 0.3799  4 O 1.50-1.59
P: 0.6951 0.0833 0.6555  4 O 1.50-1.60
P: 0.7821 0.9209 0.8450  4 O 1.49-1.62
P: 0.0843 0.2228 0.6527  4 O 1.49-1.60
P: 0.9209 0.7821 0.3450  4 O 1.49-1.62
P: 0.2228 0.0843 0.1527  4 O 1.49-1.60
P: 0.3015 0.9185 0.3405  4 O 1.49-1.62
P: 0.6653 0.6659 0.1225  4 O 1.50-1.58
P: 0.6659 0.6653 0.6225  4 O 1.50-1.58
P: 0.2992 0.7784 0.8456  4 O 1.49-1.61
P: 0.9185 0.3015 0.8405  4 O 1.49-1.62
P: 0.7784 0.2992 0.3456  4 O 1.49-1.61
O: 0.2181 0.7893 0.7480  2 P 1.61
O: 0.1972 0.7847 0.9226  1 P 1.49
O: 0.2438 0.6804 0.1598  1 P 1.55
O: 0.9874 0.7912 0.2443  2 P 1.60-1.62
O: 0.0098 0.8011 0.4207  1 P 1.49
O: 0.0784 0.6832 0.6538  1 P 1.56
O: 0.3694 0.5419 0.6560  1 P 1.55
O: 0.3076 0.4831 0.3340  1 P 1.57
O: 0.5419 0.3694 0.1560  1 P 1.55
O: 0.7847 0.1972 0.4226  1 P 1.49
O: 0.7893 0.2181 0.2480  2 P 1.61
O: 0.6804 0.2438 0.6598  1 P 1.55
O: 0.1939 0.4903 0.8436  1 P 1.59
O: 0.1024 0.5325 0.1607  1 P 1.56
O: 0.4831 0.3076 0.8340  1 P 1.57
O: 0.3288 0.3373 0.9841  1 P 1.50
O: 0.3373 0.3288 0.4841  1 P 1.50
O: 0.4903 0.1939 0.3436  1 P 1.59
O: 0.1087 0.3633 0.6600  1 P 1.56
O: 0.1952 0.3088 0.3467  1 P 1.59
O: 0.6832 0.0784 0.1538  1 P 1.56
O: 0.7912 0.9874 0.7443  2 P 1.60-1.62
O: 0.8011 0.0098 0.9207  1 P 1.49
O: 0.7806 0.0064 0.5687  1 P 1.50
O: 0.5325 0.1024 0.6607  1 P 1.56
O: 0.3088 0.1952 0.8467  1 P 1.59
O: 0.7550 0.9241 0.3467  1 P 1.57
O: 0.3633 0.1087 0.1600  1 P 1.56
O: 0.0755 0.2435 0.1576  1 P 1.55
O: 0.0064 0.7806 0.0687  1 P 1.50
O: 0.0148 0.1954 0.9159  1 P 1.49
O: 0.9865 0.2224 0.7406  2 P 1.60-1.62
O: 0.9241 0.7550 0.8467  1 P 1.57
O: 0.6340 0.9101 0.8470  1 P 1.55
O: 0.2435 0.0755 0.6576  1 P 1.55
O: 0.6958 0.7947 0.1613  1 P 1.58
O: 0.4610 0.9066 0.3395  1 P 1.55
O: 0.1954 0.0148 0.4159  1 P 1.49
O: 0.2173 0.0081 0.0651  1 P 1.49
O: 0.2224 0.9865 0.2406  2 P 1.60-1.62
O: 0.3177 0.9232 0.8498  1 P 1.56
O: 0.7947 0.6958 0.6613  1 P 1.58
O: 0.9101 0.6340 0.3470  1 P 1.55
O: 0.5085 0.7965 0.6618  1 P 1.58
O: 0.6643 0.6655 0.0186  1 P 1.50
O: 0.6655 0.6643 0.5186  1 P 1.50
O: 0.5091 0.6947 0.1647  1 P 1.57
O: 0.9066 0.4610 0.8395  1 P 1.55
O: 0.7965 0.5085 0.1618  1 P 1.58
O: 0.3215 0.7558 0.3465  1 P 1.55
O: 0.2078 0.8026 0.5734  1 P 1.49
O: 0.4621 0.6358 0.8438  1 P 1.56
O: 0.6947 0.5091 0.6647  1 P 1.57
O: 0.6358 0.4621 0.3438  1 P 1.56
O: 0.9232 0.3177 0.3498  1 P 1.56
O: 0.0081 0.2173 0.5651  1 P 1.49
O: 0.7558 0.3215 0.8465  1 P 1.55
O: 0.8026 0.2078 0.0734  1 P 1.49